[1]
DFT (PBE) results for a geometry-optimized Tm2P4O13 structure.

abc: 9.554 8.763 13.862
angles: 73.77 90.00 90.00
Fractional coordinates of all 76 atoms:
O 0.880 0.530 0.876
Tm 0.503 0.972 0.221
O 0.872 0.390 0.691
O 0.135 0.748 0.780
O 0.879 0.890 0.863
O 0.628 0.390 0.191
P 0.230 0.712 0.346
O 0.372 0.610 0.809
O 0.708 0.392 0.547
Tm 0.997 0.972 0.721
O 0.876 0.436 0.400
O 0.121 0.110 0.137
O 0.133 0.219 0.327
O 0.177 0.129 0.960
O 0.365 0.748 0.280
O 0.367 0.219 0.827
O 0.865 0.252 0.220
P 0.250 0.496 0.060
P 0.795 0.784 0.157
O 0.794 0.672 0.460
P 0.295 0.216 0.343
O 0.292 0.608 0.453
P 0.760 0.855 0.937
P 0.270 0.712 0.846
P 0.750 0.504 0.440
P 0.730 0.288 0.154
O 0.633 0.960 0.912
O 0.706 0.672 0.960
O 0.376 0.564 0.100
Tm 0.499 0.553 0.237
O 0.124 0.564 0.600
O 0.129 0.119 0.785
Tm 0.497 0.028 0.779
Tm 0.003 0.028 0.279
P 0.740 0.855 0.437
P 0.750 0.504 0.940
Tm 0.999 0.447 0.263
O 0.294 0.328 0.040
O 0.352 0.384 0.324
O 0.663 0.138 0.142
O 0.852 0.616 0.176
O 0.792 0.392 0.047
O 0.629 0.881 0.715
O 0.323 0.129 0.460
O 0.867 0.781 0.673
P 0.705 0.784 0.657
O 0.208 0.608 0.953
O 0.837 0.138 0.642
P 0.205 0.216 0.843
Tm 0.001 0.553 0.737
O 0.120 0.470 0.124
P 0.260 0.145 0.563
O 0.823 0.871 0.040
P 0.240 0.145 0.063
O 0.148 0.384 0.824
P 0.250 0.496 0.560
O 0.677 0.871 0.540
O 0.867 0.960 0.412
O 0.337 0.862 0.858
O 0.128 0.610 0.309
P 0.770 0.288 0.654
O 0.163 0.862 0.358
O 0.633 0.781 0.173
O 0.871 0.881 0.215
O 0.206 0.328 0.540
O 0.379 0.110 0.637
O 0.620 0.530 0.376
O 0.621 0.890 0.363
O 0.635 0.252 0.720
Tm 0.501 0.447 0.763
O 0.367 0.040 0.088
O 0.371 0.119 0.285
O 0.380 0.470 0.624
O 0.133 0.040 0.588
O 0.648 0.616 0.676
O 0.624 0.436 0.900

The excess energy over the best structure of this formula in the dataset comes out at 10 meV per atom. As for the symmetry: P2_1/c. The MP2020-corrected energy is -8.163 eV/atom.



[2]
DFT (PBE) results for a geometry-optimized NdH3Se3O12 structure.

abc: 6.244 9.874 9.874
angles: 120.00 90.00 90.00
Fractional coordinates of all 38 atoms:
H 0.250 0.104 0.930
O 0.250 0.480 0.437
O 0.750 0.983 0.178
O 0.032 0.248 0.460
O 0.250 0.017 0.822
O 0.468 0.213 0.752
O 0.968 0.752 0.540
O 0.468 0.248 0.460
H 0.250 0.826 0.896
Se 0.750 0.699 0.595
Nd 0.250 0.667 0.333
H 0.750 0.174 0.104
O 0.968 0.787 0.248
O 0.750 0.195 0.017
Se 0.750 0.405 0.104
Se 0.750 0.896 0.301
Se 0.250 0.104 0.699
O 0.032 0.540 0.787
Se 0.250 0.301 0.405
H 0.750 0.930 0.826
O 0.250 0.956 0.520
O 0.968 0.460 0.213
O 0.250 0.178 0.195
O 0.750 0.520 0.563
H 0.250 0.070 0.174
O 0.250 0.805 0.983
O 0.032 0.213 0.752
O 0.532 0.752 0.540
O 0.750 0.822 0.805
H 0.750 0.896 0.070
Nd 0.750 0.333 0.667
O 0.750 0.437 0.956
O 0.468 0.540 0.787
O 0.532 0.460 0.213
Se 0.250 0.595 0.896
O 0.250 0.563 0.044
O 0.750 0.044 0.480
O 0.532 0.787 0.248

As for the symmetry: P6_3/m. The MP2020-corrected energy is -5.971 eV/atom.



[3]
DFT (PBE) results for a geometry-optimized K4Nb2Si8O23 structure.

abc: 6.883 7.963 11.163
angles: 104.08 89.20 107.92
Fractional coordinates of all 37 atoms:
O 0.614 0.404 0.363
Si 0.173 0.696 0.376
Si 0.831 0.304 0.995
O 0.926 0.145 0.922
O 0.727 0.769 0.190
O 0.625 0.291 0.916
K 0.278 0.244 0.481
O 0.452 0.966 0.746
Si 0.169 0.696 0.005
Si 0.486 0.182 0.785
O 0.230 0.717 0.869
Si 0.030 0.106 0.788
O 0.818 0.218 0.476
O 0.949 0.521 0.662
O 0.074 0.855 0.078
O 0.182 0.782 0.524
K 0.333 0.299 0.148
O 0.770 0.283 0.131
K 0.667 0.701 0.852
O 0.406 0.722 0.325
O 0.000 0.500 0.000
Nb 0.215 0.727 0.690
O 0.002 0.108 0.261
O 0.375 0.709 0.084
O 0.594 0.278 0.675
Si 0.514 0.818 0.215
Si 0.970 0.894 0.212
Nb 0.785 0.273 0.310
O 0.548 0.034 0.254
Si 0.827 0.304 0.624
O 0.386 0.596 0.637
O 0.931 0.185 0.689
O 0.051 0.479 0.338
O 0.273 0.231 0.810
O 0.069 0.815 0.311
K 0.722 0.756 0.519
O 0.998 0.892 0.739

As for the symmetry: P-1. The MP2020-corrected energy is -8.007 eV/atom.



[4]
DFT (PBE) results for a geometry-optimized Na12NbZn5P9O36 structure.

abc: 9.088 9.088 22.040
angles: 90.00 90.00 120.00
Fractional coordinates of all 126 atoms:
O 0.477 0.161 0.246
O 0.811 0.027 0.807
O 0.839 0.523 0.746
Na 0.666 0.959 0.588
O 0.108 0.624 0.362
O 0.782 0.970 0.692
Zn 0.000 0.000 0.841
O 0.180 0.991 0.913
O 0.648 0.148 0.425
O 0.973 0.189 0.307
Na 0.293 0.334 0.588
O 0.506 0.645 0.577
Na 0.041 0.707 0.588
O 0.811 0.991 0.413
Na 0.041 0.334 0.088
O 0.500 0.148 0.925
Zn 0.667 0.333 0.183
O 0.376 0.892 0.862
O 0.782 0.812 0.192
P 0.298 0.299 0.750
O 0.682 0.525 0.528
O 0.030 0.218 0.192
O 0.522 0.837 0.754
O 0.139 0.645 0.077
P 0.664 0.628 0.585
P 0.333 0.371 0.418
O 0.188 0.970 0.192
O 0.637 0.120 0.141
O 0.682 0.157 0.028
O 0.969 0.170 0.583
Zn 0.333 0.667 0.318
O 0.880 0.363 0.641
O 0.200 0.031 0.583
P 0.001 0.702 0.750
O 0.315 0.478 0.754
Na 0.367 0.999 0.750
O 0.163 0.478 0.254
O 0.355 0.861 0.577
O 0.852 0.352 0.925
Na 0.633 0.999 0.250
O 0.500 0.352 0.425
Zn 0.000 0.000 0.658
O 0.522 0.685 0.254
P 0.701 0.999 0.750
Na 0.667 0.333 0.823
O 0.009 0.189 0.913
P 0.664 0.036 0.085
O 0.009 0.820 0.413
O 0.315 0.837 0.254
O 0.839 0.316 0.246
Na 0.333 0.667 0.170
O 0.188 0.218 0.692
O 0.852 0.500 0.425
Zn 0.000 0.000 0.341
O 0.506 0.861 0.077
O 0.200 0.170 0.083
O 0.637 0.518 0.641
O 0.830 0.031 0.083
O 0.516 0.624 0.862
Na 0.367 0.367 0.250
O 0.973 0.783 0.807
Na 0.293 0.959 0.088
P 0.964 0.628 0.085
O 0.684 0.161 0.746
P 0.372 0.336 0.085
O 0.843 0.318 0.528
P 0.038 0.371 0.918
O 0.307 0.450 0.476
O 0.482 0.120 0.641
O 0.684 0.523 0.246
O 0.516 0.892 0.362
O 0.143 0.693 0.476
P 0.701 0.702 0.250
Zn 0.000 0.000 0.158
Na 0.703 0.683 0.408
Zn 0.333 0.667 0.513
O 0.880 0.518 0.141
O 0.477 0.316 0.746
P 0.964 0.336 0.585
Na 0.001 0.367 0.750
P 0.629 0.962 0.418
O 0.355 0.494 0.077
O 0.969 0.800 0.083
O 0.180 0.189 0.413
O 0.217 0.027 0.307
O 0.830 0.800 0.583
Na 0.980 0.683 0.908
O 0.811 0.783 0.307
Na 0.001 0.633 0.250
O 0.217 0.189 0.807
Nb 0.667 0.333 0.482
Nb 0.667 0.333 0.982
O 0.550 0.693 0.976
P 0.001 0.299 0.250
O 0.475 0.318 0.028
P 0.298 0.999 0.250
O 0.307 0.857 0.976
Na 0.980 0.297 0.408
Na 0.667 0.333 0.323
O 0.550 0.857 0.476
O 0.030 0.812 0.692
O 0.108 0.484 0.862
P 0.038 0.667 0.418
Na 0.317 0.297 0.908
Zn 0.333 0.667 0.818
Zn 0.667 0.333 0.683
Na 0.703 0.020 0.908
Na 0.633 0.633 0.750
O 0.482 0.363 0.141
O 0.648 0.500 0.925
Na 0.333 0.667 0.670
Na 0.317 0.020 0.408
O 0.376 0.484 0.362
P 0.629 0.667 0.918
P 0.372 0.036 0.585
Na 0.000 0.000 0.000
Na 0.000 0.000 0.500
O 0.163 0.685 0.754
Na 0.666 0.707 0.088
O 0.139 0.494 0.577
O 0.143 0.450 0.976
Zn 0.333 0.667 0.013
P 0.333 0.962 0.918
O 0.811 0.820 0.913
O 0.475 0.157 0.528
O 0.843 0.525 0.028

As for the symmetry: P3c1. The MP2020-corrected energy is -6.631 eV/atom.



[5]
DFT (PBE) results for a geometry-optimized TiNbRu2 structure.

abc: 4.440 4.440 4.440
angles: 60.00 60.00 60.00
Fractional coordinates of all 4 atoms:
Ti 0.000 0.000 0.000
Ru 0.250 0.250 0.250
Ru 0.750 0.750 0.750
Nb 0.500 0.500 0.500

As for the symmetry: Fm-3m.



[6]
DFT (PBE) results for a geometry-optimized YH3O3 structure.

abc: 6.363 6.363 3.553
angles: 90.00 90.00 120.00
Fractional coordinates of all 14 atoms:
O 0.689 0.086 0.250
O 0.603 0.689 0.750
H 0.862 0.140 0.250
Y 0.667 0.333 0.750
Y 0.333 0.667 0.250
H 0.140 0.279 0.750
O 0.914 0.603 0.250
H 0.279 0.138 0.250
H 0.860 0.721 0.250
H 0.138 0.860 0.750
O 0.086 0.397 0.750
H 0.721 0.862 0.750
O 0.311 0.914 0.750
O 0.397 0.311 0.250

The excess energy over the best structure of this formula in the dataset comes out at 0 meV per atom. As for the symmetry: P6_3/m. The MP2020-corrected energy is -6.728 eV/atom.



[7]
DFT (PBE) results for a geometry-optimized CrCo2N3 structure.

abc: 5.097 5.096 5.157
angles: 90.00 90.00 119.99
Fractional coordinates of all 12 atoms:
Co 0.313 0.482 0.994
N 0.345 0.509 0.357
Co 0.687 0.169 0.994
N 0.000 0.829 0.302
Co 0.687 0.518 0.494
Cr 0.000 0.163 0.441
N 0.655 0.491 0.857
N 0.655 0.165 0.357
N 0.345 0.835 0.857
Co 0.313 0.831 0.494
Cr 0.000 0.837 0.941
N 0.000 0.171 0.802

The excess energy over the best structure of this formula in the dataset comes out at 0 meV per atom. As for the symmetry: Cmc2_1. The MP2020-corrected energy is -8.375 eV/atom.



[8]
DFT (PBE) results for a geometry-optimized NdSi2Ni2 structure.

abc: 4.049 4.049 5.595
angles: 111.21 111.21 90.00
Fractional coordinates of all 5 atoms:
Si 0.630 0.630 0.260
Si 0.370 0.370 0.740
Ni 0.750 0.250 0.500
Ni 0.250 0.750 0.500
Nd 0.000 0.000 0.000

As for the symmetry: I4/mmm.



Calculated theoretical density in order - 3.992, 3.630, 2.755, 3.266, 9.203, 3.730, 6.065, 6.696 g cm⁻³
Calculated energy of formation in order - -3.17, -1.51, -3.09, -2.52, -0.46, -2.23, -0.23, -0.81 eV per atom
Calculated electronic total energy in order - -146.17, -105.21, -280.47, -393.02, -38.40, -45.04, -49.17, -31.24 eV per formula unit